First-principles (PBE+U) data for a relaxed Li3VSiO5 crystal, as listed in Materials Project.

Values from the calculation:
energy above the lowest structure with this stoichiometry: 0 meV per atom
MP2020-corrected energy: -7.175 eV per atom
piezoelectric modulus e_max: 1.4 C/m2
calculated volume: 10.93 Å³ per atom

```
data_Li3VSiO5
_cell_length_a 5.530
_cell_length_b 15.989
_cell_length_c 4.946
_cell_angle_alpha 90.00
_cell_angle_beta 90.00
_cell_angle_gamma 90.00
_space_group_name_H-M_alt 'P n a 21'
_space_group_IT_number 33
loop_
_space_group_symop_operation_xyz
'x,y,z'
'-x,-y,z+1/2'
'-x+1/2,y+1/2,z+1/2'
'x+1/2,-y+1/2,z'
loop_
_atom_site_label
_atom_site_type_symbol
_atom_site_fract_x
_atom_site_fract_y
_atom_site_fract_z
_atom_site_occupancy
Li1 Li 0.164 0.006 0.000 1
Li2 Li 0.166 0.591 0.996 1
Li3 Li 0.173 0.195 0.001 1
V1 V 0.176 0.802 0.000 1
Si1 Si 0.163 0.403 0.001 1
O1 O 0.119 0.602 0.600 1
O2 O 0.160 0.202 0.592 1
O3 O 0.173 0.399 0.661 1
O4 O 0.186 0.984 0.603 1
O5 O 0.192 0.814 0.599 1
```



First-principles (PBE+U) data for a relaxed Mn6O5F7 crystal, as listed in Materials Project.

Values from the calculation:
energy above the lowest structure with this stoichiometry: 22 meV per atom
MP2020-corrected energy: -7.592 eV per atom
calculated volume: 11.91 Å³ per atom

```
data_Mn6O5F7
_cell_length_a 4.773
_cell_length_b 5.685
_cell_length_c 7.920
_cell_angle_alpha 86.33
_cell_angle_beta 89.59
_cell_angle_gamma 88.93
_space_group_name_H-M_alt 'P 1'
_space_group_IT_number 1
loop_
_space_group_symop_operation_xyz
'x,y,z'
loop_
_atom_site_label
_atom_site_type_symbol
_atom_site_fract_x
_atom_site_fract_y
_atom_site_fract_z
_atom_site_occupancy
Mn1 Mn 0.000 0.000 0.000 1
Mn2 Mn 0.002 0.320 0.689 1
Mn3 Mn 0.004 0.672 0.335 1
Mn4 Mn 0.461 0.837 0.662 1
Mn5 Mn 0.527 0.146 0.328 1
Mn6 Mn 0.551 0.490 0.015 1
O1 O 0.181 0.037 0.777 1
O2 O 0.311 0.873 0.428 1
O3 O 0.703 0.446 0.242 1
O4 O 0.814 0.292 0.911 1
O5 O 0.818 0.942 0.219 1
F1 F 0.201 0.373 0.450 1
F2 F 0.222 0.698 0.086 1
F3 F 0.305 0.199 0.111 1
F4 F 0.328 0.519 0.787 1
F5 F 0.692 0.801 0.886 1
F6 F 0.703 0.128 0.565 1
F7 F 0.810 0.617 0.588 1
```



First-principles (PBE+U) data for a relaxed V2Cu3O8 crystal, as listed in Materials Project.

Values from the calculation:
energy above the lowest structure with this stoichiometry: 0 meV per atom
MP2020-corrected energy: -7.044 eV per atom
calculated volume: 13.01 Å³ per atom

```
data_V2Cu3O8
_cell_length_a 5.138
_cell_length_b 5.782
_cell_length_c 6.583
_cell_angle_alpha 70.03
_cell_angle_beta 87.37
_cell_angle_gamma 67.59
_space_group_name_H-M_alt 'P -1'
_space_group_IT_number 2
loop_
_space_group_symop_operation_xyz
'x,y,z'
'-x,-y,-z'
loop_
_atom_site_label
_atom_site_type_symbol
_atom_site_fract_x
_atom_site_fract_y
_atom_site_fract_z
_atom_site_occupancy
V1 V 0.140 0.172 0.211 1
Cu1 Cu 0.239 0.326 0.665 1
Cu2 Cu 0.500 0.500 0.000 1
O1 O 0.122 0.371 0.373 1
O2 O 0.185 0.832 0.845 1
O3 O 0.284 0.306 0.963 1
O4 O 0.365 0.852 0.348 1
```



First-principles (PBE+U) data for a relaxed AlNiO3 crystal, as listed in Materials Project.

Values from the calculation:
MP2020-corrected energy: -6.887 eV per atom
calculated volume: 8.92 Å³ per atom

```
data_AlNiO3
_cell_length_a 4.881
_cell_length_b 8.004
_cell_length_c 4.564
_cell_angle_alpha 90.00
_cell_angle_beta 90.00
_cell_angle_gamma 90.00
_space_group_name_H-M_alt 'P n m a'
_space_group_IT_number 62
loop_
_space_group_symop_operation_xyz
'x,y,z'
'-x,-y,-z'
'-x+1/2,-y,z+1/2'
'x+1/2,y,-z+1/2'
'x+1/2,-y+1/2,-z+1/2'
'-x+1/2,y+1/2,z+1/2'
'-x,y+1/2,-z'
'x,-y+1/2,z'
loop_
_atom_site_label
_atom_site_type_symbol
_atom_site_fract_x
_atom_site_fract_y
_atom_site_fract_z
_atom_site_occupancy
Al1 Al 0.067 0.250 0.032 1
Ni1 Ni 0.000 0.000 0.500 1
O1 O 0.096 0.750 0.328 1
O2 O 0.208 0.597 0.797 1
```



Number 3 is which compound?
V2Cu3O8



Among the records above, which one has the highest calculated volume?
V2Cu3O8



Copy entry 2 word for word.
First-principles (PBE+U) data for a relaxed Mn6O5F7 crystal, as listed in Materials Project.

Values from the calculation:
energy above the lowest structure with this stoichiometry: 22 meV per atom
MP2020-corrected energy: -7.592 eV per atom
calculated volume: 11.91 Å³ per atom

```
data_Mn6O5F7
_cell_length_a 4.773
_cell_length_b 5.685
_cell_length_c 7.920
_cell_angle_alpha 86.33
_cell_angle_beta 89.59
_cell_angle_gamma 88.93
_space_group_name_H-M_alt 'P 1'
_space_group_IT_number 1
loop_
_space_group_symop_operation_xyz
'x,y,z'
loop_
_atom_site_label
_atom_site_type_symbol
_atom_site_fract_x
_atom_site_fract_y
_atom_site_fract_z
_atom_site_occupancy
Mn1 Mn 0.000 0.000 0.000 1
Mn2 Mn 0.002 0.320 0.689 1
Mn3 Mn 0.004 0.672 0.335 1
Mn4 Mn 0.461 0.837 0.662 1
Mn5 Mn 0.527 0.146 0.328 1
Mn6 Mn 0.551 0.490 0.015 1
O1 O 0.181 0.037 0.777 1
O2 O 0.311 0.873 0.428 1
O3 O 0.703 0.446 0.242 1
O4 O 0.814 0.292 0.911 1
O5 O 0.818 0.942 0.219 1
F1 F 0.201 0.373 0.450 1
F2 F 0.222 0.698 0.086 1
F3 F 0.305 0.199 0.111 1
F4 F 0.328 0.519 0.787 1
F5 F 0.692 0.801 0.886 1
F6 F 0.703 0.128 0.565 1
F7 F 0.810 0.617 0.588 1
```



Which of these has the highest MP2020-corrected energy?
AlNiO3